Here is a relaxed structure of NiAuO2 from the Materials Project. Energies are from PBE with a Hubbard U.

Summary:
Energy relative to the elements: -19.09 kcal/mol of atoms
Total energy after the MP2020 corrections: -5.565 eV per atom
Uncorrected energy: -36.69 eV per cell
Crystal system: hexagonal

Cell: 3.044 3.044 12.159 Å, 90.04 89.96 120.02°
Element x y z (fractional)
Ni (0.000, 0.000, 0.000)
Ni (0.000, 0.000, 0.500)
Au (0.333, 0.667, 0.250)
Au (0.667, 0.333, 0.750)
O (0.667, 0.333, 0.584)
O (0.333, 0.667, 0.416)
O (0.667, 0.333, 0.916)
O (0.333, 0.667, 0.084)